1.
Na9Ca2Ta4Si6P3O36 | PBE-GGA | optimized geometry

Lattice parameters (Å, degrees): 9.147 27.384 22.480 89.92 89.98 119.96
Fractional coordinates of all 360 atoms:
O: 0.490 0.729 0.538
O: 0.807 0.989 0.690
O: 0.159 0.563 0.743
O: 0.964 0.266 0.697
O: 0.961 0.936 0.097
O: 0.140 0.901 0.479
O: 0.691 0.052 0.750
O: 0.476 0.137 0.144
O: 0.318 0.480 0.357
O: 0.834 0.662 0.415
O: 0.649 0.832 0.917
O: 0.176 0.070 0.806
O: 0.502 0.791 0.027
O: 0.840 0.678 0.697
O: 0.029 0.950 0.806
O: 0.132 0.207 0.357
O: 0.144 0.505 0.572
O: 0.304 0.278 0.263
O: 0.157 0.392 0.420
O: 0.718 0.508 0.244
O: 0.676 0.729 0.032
O: 0.519 0.953 0.084
O: 0.053 0.753 0.186
O: 0.025 0.942 0.690
O: 0.727 0.528 0.525
O: 0.984 0.940 0.416
O: 0.022 0.062 0.915
O: 0.832 0.180 0.763
O: 0.361 0.957 0.584
O: 0.151 0.235 0.745
O: 0.001 0.276 0.807
O: 0.868 0.780 0.530
O: 0.822 0.098 0.532
O: 0.192 0.007 0.903
O: 0.545 0.551 0.857
O: 0.640 0.706 0.146
O: 0.462 0.095 0.033
O: 0.153 0.221 0.059
O: 0.467 0.765 0.136
O: 0.864 0.455 0.636
O: 0.173 0.328 0.600
O: 0.376 0.840 0.367
O: 0.779 0.600 0.191
O: 0.162 0.320 0.194
O: 0.623 0.050 0.420
O: 0.205 0.394 0.812
O: 0.827 0.597 0.303
O: 0.863 0.448 0.916
O: 0.815 0.330 0.098
O: 0.297 0.488 0.468
O: 0.295 0.154 0.738
O: 0.869 0.500 0.135
O: 0.231 0.005 0.313
O: 0.139 0.882 0.089
O: 0.977 0.379 0.206
O: 0.445 0.692 0.652
O: 0.974 0.597 0.085
O: 0.821 0.282 0.908
O: 0.800 0.945 0.198
O: 0.480 0.719 0.935
O: 0.533 0.282 0.754
O: 0.484 0.431 0.746
O: 0.360 0.160 0.350
O: 0.684 0.048 0.032
O: 0.316 0.489 0.744
O: 0.145 0.887 0.364
O: 0.480 0.726 0.249
O: 0.416 0.373 0.522
O: 0.772 0.913 0.313
O: 0.665 0.715 0.441
O: 0.460 0.043 0.644
O: 0.809 0.612 0.919
O: 0.974 0.595 0.813
O: 0.522 0.939 0.755
O: 0.813 0.432 0.242
O: 0.551 0.611 0.737
O: 0.506 0.220 0.570
O: 0.523 0.559 0.969
O: 0.472 0.391 0.238
O: 0.327 0.292 0.853
O: 0.520 0.233 0.253
O: 0.849 0.786 0.923
O: 0.838 0.942 0.906
O: 0.532 0.888 0.578
O: 0.485 0.278 0.079
O: 0.575 0.901 0.978
O: 0.145 0.838 0.867
O: 0.467 0.052 0.530
O: 0.173 0.395 0.108
O: 0.338 0.618 0.560
O: 0.684 0.174 0.263
O: 0.015 0.611 0.414
O: 0.920 0.125 0.648
O: 0.148 0.546 0.078
O: 0.172 0.384 0.699
O: 0.368 0.504 0.073
O: 0.540 0.237 0.969
O: 0.479 0.450 0.422
O: 0.632 0.501 0.639
O: 0.634 0.380 0.132
O: 0.855 0.850 0.020
O: 0.343 0.614 0.248
O: 0.946 0.189 0.152
O: 0.801 0.004 0.405
O: 0.277 0.952 0.976
O: 0.209 0.729 0.068
O: 0.155 0.824 0.274
O: 0.377 0.832 0.098
O: 0.691 0.715 0.763
O: 0.183 0.665 0.304
O: 0.137 0.803 0.979
O: 0.151 0.163 0.562
O: 0.019 0.078 0.312
O: 0.028 0.278 0.403
O: 0.448 0.098 0.754
O: 0.332 0.161 0.058
O: 0.695 0.371 0.017
O: 0.150 0.487 0.243
O: 0.147 0.558 0.463
O: 0.562 0.642 0.351
O: 0.186 0.168 0.953
O: 0.295 0.824 0.764
O: 0.189 0.008 0.585
O: 0.522 0.605 0.463
O: 0.822 0.673 0.076
O: 0.696 0.845 0.529
O: 0.875 0.512 0.023
O: 0.024 0.396 0.915
O: 0.853 0.117 0.938
O: 0.880 0.778 0.643
O: 0.560 0.960 0.476
O: 0.644 0.381 0.407
O: 0.650 0.836 0.228
O: 0.152 0.825 0.586
O: 0.819 0.608 0.602
O: 0.164 0.327 0.916
O: 0.821 0.510 0.739
O: 0.978 0.397 0.318
O: 0.123 0.487 0.856
O: 0.488 0.549 0.573
O: 0.101 0.552 0.351
O: 0.465 0.769 0.757
O: 0.833 0.277 0.584
O: 0.307 0.942 0.253
O: 0.302 0.607 0.964
O: 0.974 0.050 0.587
O: 0.837 0.007 0.092
O: 0.002 0.726 0.898
O: 0.334 0.288 0.967
O: 0.521 0.124 0.427
O: 0.657 0.844 0.642
O: 0.846 0.346 0.806
O: 0.826 0.827 0.134
O: 0.152 0.660 0.915
O: 0.011 0.617 0.697
O: 0.816 0.169 0.043
O: 0.024 0.064 0.201
O: 0.490 0.891 0.253
O: 0.489 0.380 0.910
O: 0.158 0.716 0.803
O: 0.360 0.281 0.585
O: 0.497 0.957 0.365
O: 0.504 0.459 0.143
O: 0.799 0.262 0.188
O: 0.657 0.169 0.940
O: 0.538 0.290 0.479
O: 0.199 0.348 0.308
O: 0.463 0.051 0.240
O: 0.411 0.417 0.034
O: 0.178 0.730 0.393
O: 0.962 0.715 0.298
O: 0.155 0.490 0.968
O: 0.803 0.655 0.804
O: 0.175 0.672 0.584
O: 0.524 0.201 0.857
O: 0.821 0.770 0.247
O: 0.639 0.186 0.653
O: 0.056 0.146 0.843
O: 0.864 0.112 0.249
O: 0.162 0.990 0.202
O: 0.849 0.827 0.423
O: 0.187 0.737 0.687
O: 0.490 0.618 0.068
O: 0.513 0.054 0.925
O: 0.975 0.721 0.581
O: 0.515 0.786 0.424
O: 0.367 0.641 0.849
O: 0.361 0.956 0.860
O: 0.190 0.658 0.190
O: 0.181 0.051 0.096
O: 0.343 0.173 0.463
O: 0.665 0.507 0.923
O: 0.013 0.394 0.598
O: 0.183 0.162 0.246
O: 0.510 0.883 0.860
O: 0.868 0.165 0.432
O: 0.503 0.380 0.638
O: 0.184 0.067 0.422
O: 0.827 0.000 0.806
O: 0.187 0.903 0.755
O: 0.855 0.422 0.522
O: 0.814 0.332 0.689
O: 0.852 0.504 0.417
O: 0.837 0.848 0.759
O: 0.168 0.058 0.695
O: 0.835 0.279 0.302
O: 0.712 0.396 0.742
O: 0.816 0.324 0.413
O: 0.498 0.277 0.365
O: 0.183 0.240 0.470
O: 0.995 0.277 0.082
O: 0.654 0.040 0.144
O: 0.531 0.551 0.259
O: 0.278 0.803 0.479
O: 0.689 0.173 0.536
O: 0.847 0.937 0.585
Na: 0.389 0.005 0.742
Na: 0.339 0.785 0.233
Na: 0.988 0.125 0.747
Na: 0.347 0.455 0.258
Na: 0.027 0.550 0.248
Na: 0.022 0.999 0.496
Na: 0.690 0.893 0.409
Na: 0.376 0.668 0.751
Na: 0.999 0.214 0.247
Na: 0.658 0.225 0.091
Na: 0.344 0.556 0.668
Na: 0.375 0.329 0.756
Na: 0.002 0.775 0.434
Na: 0.608 0.207 0.750
Na: 0.682 0.778 0.831
Na: 0.274 0.884 0.664
Na: 0.619 0.541 0.759
Na: 0.661 0.104 0.327
Na: 0.988 0.101 0.409
Na: 0.316 0.217 0.664
Na: 0.306 0.007 0.417
Na: 0.662 0.899 0.072
Na: 0.327 0.772 0.928
Na: 0.680 0.571 0.090
Na: 0.641 0.663 0.254
Na: 0.015 0.329 0.503
Na: 0.000 0.894 0.920
Na: 0.659 0.990 0.574
Na: 0.698 0.110 0.836
Na: 0.952 0.434 0.423
Na: 0.341 0.895 0.164
Na: 0.673 0.443 0.335
Na: 0.009 0.563 0.572
Na: 0.024 0.344 0.003
Na: 0.379 0.121 0.245
Na: 0.676 0.328 0.572
Na: 0.646 0.447 0.842
Na: 0.980 0.008 0.002
Na: 0.350 0.108 0.908
Na: 0.307 0.988 0.072
Na: 0.998 0.667 0.003
Na: 0.968 0.550 0.929
Na: 0.622 0.870 0.744
Na: 0.019 0.462 0.756
Na: 0.308 0.327 0.070
Na: 0.317 0.218 0.161
Na: 0.312 0.556 0.168
Na: 0.689 0.342 0.923
Na: 0.998 0.667 0.499
Na: 0.669 0.781 0.334
Na: 0.342 0.343 0.427
Na: 0.692 0.552 0.430
Na: 0.054 0.780 0.083
Na: 0.323 0.781 0.575
Si: 0.970 0.444 0.581
Si: 0.343 0.991 0.917
Si: 0.302 0.664 0.246
Si: 0.368 0.679 0.587
Si: 0.049 0.222 0.416
Si: 0.363 0.111 0.085
Si: 0.639 0.222 0.915
Si: 0.628 0.320 0.417
Si: 0.026 0.123 0.909
Si: 0.348 0.128 0.416
Si: 0.998 0.571 0.748
Si: 0.954 0.874 0.085
Si: 0.010 0.906 0.752
Si: 0.681 0.898 0.250
Si: 0.660 0.681 0.081
Si: 0.985 0.427 0.252
Si: 0.975 0.213 0.086
Si: 0.288 0.334 0.251
Si: 0.363 0.341 0.584
Si: 0.667 0.213 0.589
Si: 0.028 0.891 0.422
Si: 0.282 0.763 0.752
Si: 0.717 0.336 0.748
Si: 0.341 0.790 0.417
Si: 0.331 0.656 0.914
Si: 0.703 0.235 0.252
Si: 0.364 0.444 0.088
Si: 0.033 0.788 0.918
Si: 0.995 0.766 0.248
Si: 0.661 0.341 0.079
Si: 0.661 0.545 0.584
Si: 0.709 0.997 0.750
Si: 0.640 0.892 0.916
Si: 0.297 0.428 0.749
Si: 0.643 0.656 0.415
Si: 0.968 0.110 0.585
Ta: 0.004 0.003 0.854
Ta: 0.991 0.334 0.355
Ta: 0.989 0.330 0.149
Ta: 0.003 0.672 0.646
Ta: 0.000 0.331 0.646
Ta: 0.657 0.773 0.187
Ta: 0.989 0.662 0.855
Ta: 0.332 0.222 0.011
Ta: 0.010 0.337 0.855
Ta: 0.336 0.556 0.517
Ta: 0.665 0.440 0.183
Ta: 0.338 0.224 0.520
Ta: 0.993 0.999 0.153
Ta: 0.671 0.110 0.987
Ta: 0.668 0.445 0.683
Ta: 0.333 0.890 0.815
Ta: 0.001 0.998 0.644
Ta: 0.343 0.222 0.313
Ta: 0.330 0.555 0.017
Ta: 0.674 0.778 0.484
Ta: 0.670 0.116 0.485
Ta: 0.672 0.782 0.978
Ta: 0.325 0.890 0.317
Ta: 0.010 0.666 0.349
Ca: 0.343 0.559 0.320
Ca: 0.326 0.887 0.518
Ca: 0.318 0.215 0.817
Ca: 0.342 0.561 0.813
Ca: 0.685 0.119 0.181
Ca: 0.658 0.442 0.488
Ca: 0.012 0.671 0.144
Ca: 0.332 0.888 0.016
Ca: 0.681 0.117 0.683
Ca: 0.667 0.773 0.691
Ca: 0.987 0.996 0.344
Ca: 0.646 0.438 0.986
P: 0.382 0.778 0.082
P: 0.279 0.096 0.748
P: 0.630 0.556 0.916
P: 0.670 0.012 0.090
P: 0.680 0.878 0.585
P: 0.370 0.014 0.587
P: 0.968 0.778 0.587
P: 0.317 0.453 0.416
P: 0.622 0.992 0.418
P: 0.712 0.565 0.248
P: 0.040 0.456 0.913
P: 0.031 0.556 0.410
P: 0.329 0.322 0.910
P: 0.716 0.666 0.750
P: 0.296 0.998 0.253
P: 0.014 0.103 0.253
P: 0.989 0.237 0.752
P: 0.966 0.540 0.079

Values from the calculation:
The total energy after the MP2020 corrections comes out at -470.1 eV/f.u. As for the symmetry: P1 (1). The value obtained for the energy above the most stable polymorph in this dataset is 0 meV per atom. The calculation puts the total magnetization at 0.0 μB/f.u. The volume is 813.1 Å³/f.u. As for the calculated density: 3.77 Mg/m³. Its energy of formation from the pure elements is -2998 meV per atom.

***

2.
Ta2Pd3Se8 | PBE-GGA | optimized geometry

Lattice parameters (Å, degrees): 3.611 11.200 15.648 90.00 90.00 90.00
Fractional coordinates of all 26 atoms:
Pd: 0.000 0.500 0.500
Pd: 0.000 0.000 0.000
Pd: 0.000 0.149 0.725
Pd: 0.000 0.851 0.275
Pd: 0.000 0.649 0.775
Pd: 0.000 0.351 0.225
Se: 0.500 0.776 0.712
Se: 0.500 0.576 0.872
Se: 0.000 0.779 0.996
Se: 0.000 0.473 0.657
Se: 0.500 0.424 0.128
Se: 0.000 0.721 0.496
Se: 0.000 0.027 0.157
Se: 0.000 0.527 0.343
Se: 0.000 0.279 0.504
Se: 0.500 0.224 0.288
Se: 0.500 0.724 0.212
Se: 0.500 0.276 0.788
Se: 0.500 0.924 0.372
Se: 0.500 0.076 0.628
Se: 0.000 0.973 0.843
Se: 0.000 0.221 0.004
Ta: 0.500 0.194 0.125
Ta: 0.500 0.306 0.625
Ta: 0.500 0.806 0.875
Ta: 0.500 0.694 0.375

Values from the calculation:
The total energy after the MP2020 corrections comes out at -79.1 eV/f.u. As for the symmetry: Pbam (55). The volume is 316.4 Å³/f.u. As for the calculated density: 6.89 Mg/m³. Its energy of formation from the pure elements is -915 meV per atom.

***

3.
BiTeRh | PBE-GGA | optimized geometry

Lattice parameters (Å, degrees): 6.604 6.604 6.604 90.00 90.00 90.00
Fractional coordinates of all 12 atoms:
Te: 0.127 0.627 0.873
Te: 0.873 0.127 0.627
Te: 0.373 0.373 0.373
Te: 0.627 0.873 0.127
Bi: 0.130 0.870 0.370
Bi: 0.870 0.370 0.130
Bi: 0.370 0.130 0.870
Bi: 0.630 0.630 0.630
Rh: 0.494 0.506 0.006
Rh: 0.994 0.994 0.994
Rh: 0.006 0.494 0.506
Rh: 0.506 0.006 0.494

Values from the calculation:
As for the symmetry: P2_13 (198). The volume is 72.0 Å³/f.u. As for the calculated density: 10.13 Mg/m³. Its energy of formation from the pure elements is -367 meV per atom.

***

4.
Rb2CuCl2F2 | PBE-GGA | optimized geometry

Lattice parameters (Å, degrees): 5.100 5.100 7.575 109.68 109.68 89.99
Fractional coordinates of all 7 atoms:
Rb: 0.654 0.654 0.307
Rb: 0.346 0.346 0.693
Cu: 0.000 0.000 0.000
Cl: 0.000 0.500 0.000
Cl: 0.500 0.000 0.000
F: 0.143 0.143 0.287
F: 0.857 0.857 0.713

Values from the calculation:
The total energy after the MP2020 corrections comes out at -26.6 eV/f.u. As for the symmetry: I4/mmm (139). The calculation puts the total magnetization at 1.0 μB/f.u. The volume is 173.3 Å³/f.u. As for the calculated density: 3.29 Mg/m³. Its energy of formation from the pure elements is -1861 meV per atom.

***

5.
SmMn2Ge2 | PBE-GGA | optimized geometry

Lattice parameters (Å, degrees): 6.186 6.186 6.186 142.26 142.26 54.43
Fractional coordinates of all 5 atoms:
Ge: 0.378 0.378 0.000
Ge: 0.622 0.622 0.000
Mn: 0.750 0.250 0.500
Mn: 0.250 0.750 0.500
Sm: 0.000 0.000 0.000

Values from the calculation:
As for the symmetry: I4/mmm (139). The volume is 88.1 Å³/f.u. As for the calculated density: 7.65 Mg/m³. Its energy of formation from the pure elements is -479 meV per atom.

***

6.
Rb2TlSbBr6 | PBE-GGA | optimized geometry

Lattice parameters (Å, degrees): 8.422 8.422 8.422 60.00 60.00 60.00
Fractional coordinates of all 10 atoms:
Rb: 0.250 0.250 0.250
Rb: 0.750 0.750 0.750
Br: 0.764 0.236 0.764
Br: 0.236 0.764 0.764
Br: 0.764 0.236 0.236
Br: 0.236 0.764 0.236
Br: 0.764 0.764 0.236
Br: 0.236 0.236 0.764
Sb: 0.000 0.000 0.000
Tl: 0.500 0.500 0.500

Values from the calculation:
The total energy after the MP2020 corrections comes out at -32.8 eV/f.u. As for the symmetry: Fm-3m (225). The calculation puts the total magnetization at 0.0 μB/f.u. The volume is 422.4 Å³/f.u. As for the calculated density: 3.84 Mg/m³. Its energy of formation from the pure elements is -1449 meV per atom.

***

no.,E (eV for the cell shown)
1,-2672.49
2,-150.68
3,-62.00
4,-25.69
5,-34.68
6,-29.56